VASP calculation (PBE-GGA) on crystalline Zn4Cu11Sn5Se20 at its relaxed geometry.

Crystal system = tetragonal
E (MP2020) = -4.11 eV/atom
Formation energy from the elements = -2333 kJ/mol of formula units
Space-group type = I-4

a b c (Å): 10.7757 10.7757 10.7757
angles (deg): 106.77 106.77 115.01
Atoms (fractional coordinates):
Zn 0.1996 0.3998 0.5997
Zn 0.4001 0.8004 0.2002
Zn 0.6002 0.1999 0.7998
Zn 0.8001 0.5999 0.4003
Cu 0.8496 0.9508 0.2989
Cu 0.2500 0.7500 0.5000
Cu 0.6519 0.5507 0.7011
Cu 0.0492 0.3481 0.8988
Cu 0.4493 0.1504 0.1012
Cu 0.7500 0.2500 0.5000
Cu 0.1487 0.0503 0.7003
Cu 0.5517 0.8513 0.9016
Cu 0.9497 0.6501 0.0984
Cu 0.3499 0.4483 0.2997
Cu 0.0000 0.0000 0.0000
Sn 0.7033 0.9024 0.6021
Sn 0.0976 0.6998 0.8009
Sn 0.5000 0.5000 0.0000
Sn 0.8988 0.2967 0.1991
Sn 0.3002 0.1012 0.3979
Se 0.5914 0.2873 0.6083
Se 0.7911 0.6874 0.2073
Se 0.9909 0.0854 0.8112
Se 0.1911 0.4873 0.4075
Se 0.3907 0.8872 0.0071
Se 0.2742 0.1797 0.1888
Se 0.4801 0.5838 0.7927
Se 0.6791 0.9831 0.3917
Se 0.8801 0.3837 0.9929
Se 0.0798 0.7836 0.5925
Se 0.3126 0.5199 0.1036
Se 0.5127 0.9202 0.7039
Se 0.7127 0.3209 0.3040
Se 0.9146 0.7258 0.9055
Se 0.1128 0.1199 0.5035
Se 0.4162 0.2089 0.8964
Se 0.6163 0.6093 0.4965
Se 0.8203 0.0091 0.0945
Se 0.0169 0.4086 0.6960
Se 0.2164 0.8089 0.2961